A geometry-optimized BaCr2PO11 structure, computed with GGA+U.

Cell and atoms, written as POSCAR:
```
BaCr2PO11
1.0
7.5855 0.0000 0.0000
-2.1740 7.5033 0.0000
-2.5247 -1.4268 9.1613
P Ba O Cr
2 2 22 4
direct
0.3171 0.1483 0.7766 P
0.6829 0.8517 0.2234 P
0.7428 0.5455 0.8848 Ba
0.2572 0.4545 0.1152 Ba
0.8638 0.8948 0.8348 O
0.7145 0.5374 0.5789 O
0.2942 0.9736 0.3983 O
0.4454 0.2269 0.6824 O
0.3889 0.2940 0.9113 O
0.6111 0.7060 0.0887 O
0.5773 0.3469 0.2571 O
0.6569 0.0325 0.1763 O
0.8975 0.2504 0.8539 O
0.1362 0.1052 0.1652 O
0.4227 0.6531 0.7429 O
0.1025 0.7496 0.1461 O
0.1343 0.6220 0.8636 O
0.2855 0.4626 0.4211 O
0.8657 0.3780 0.1364 O
0.9074 0.3036 0.4084 O
0.7058 0.0264 0.6017 O
0.1010 0.1123 0.6918 O
0.3431 0.9675 0.8237 O
0.8990 0.8877 0.3082 O
0.5546 0.7731 0.3176 O
0.0926 0.6964 0.5916 O
0.8818 0.0685 0.7475 Cr
0.1182 0.9315 0.2525 Cr
0.7568 0.2755 0.2487 Cr
0.2432 0.7245 0.7513 Cr
```

Calculated values
VASP energy ... -6.44 eV per atom
Spin magnetization ... 6.00 μB/cell
Formation energy ... -1.802 eV per atom